(1)
A plane-wave DFT calculation with GGA+U was carried out for a relaxed TmTlW2O8 crystal.

abc: 7.5998 7.5998 7.4600
angles: 117.75 117.75 88.07
Last column: nearest neighbours and their distance in Å.
Positions (direct):
Tm: 0.2232 0.7768 0.7500  6 O 2.24-2.28
Tm: 0.7768 0.2232 0.2500  6 O 2.24-2.28
Tl: 0.2050 0.7950 0.2500  10 O 2.87-3.11
Tl: 0.7950 0.2050 0.7500  10 O 2.87-3.11
W: 0.2982 0.3091 0.7839  4 O 1.84-2.03
W: 0.3091 0.2982 0.2839  4 O 1.84-2.03
W: 0.6909 0.7018 0.7161  4 O 1.84-2.03
W: 0.7018 0.6909 0.2161  4 O 1.84-2.03
O: 0.0410 0.2200 0.1914  1 W 1.84
O: 0.0574 0.3691 0.6179  1 W 1.86
O: 0.2200 0.0410 0.6914  1 W 1.84
O: 0.2441 0.3799 0.0593  2 W 1.90-2.10
O: 0.3691 0.0574 0.1179  1 W 1.86
O: 0.3703 0.5928 0.5371  2 W 2.03-2.12
O: 0.3799 0.2441 0.5593  2 W 1.90-2.10
O: 0.4072 0.6297 0.9629  2 W 2.03-2.12
O: 0.5928 0.3703 0.0371  2 W 2.03-2.12
O: 0.6201 0.7559 0.4407  2 W 1.90-2.10
O: 0.6297 0.4072 0.4629  2 W 2.03-2.12
O: 0.6309 0.9426 0.8821  1 W 1.86
O: 0.7559 0.6201 0.9407  2 W 1.90-2.10
O: 0.7800 0.9590 0.3086  1 W 1.84
O: 0.9426 0.6309 0.3821  1 W 1.86
O: 0.9590 0.7800 0.8086  1 W 1.84

Summary:
Calculated total energy ... -7.34 eV per atom

=====

(2)
A plane-wave DFT calculation with GGA+U was carried out for a relaxed Li2CrP2O7 crystal.

abc: 7.5511 7.5511 11.2320
angles: 90.43 90.43 116.76
Last column: nearest neighbours and their distance in Å.
Positions (direct):
Li: 0.2068 0.7800 0.4992  4 O 1.91-2.02
Li: 0.2096 0.7904 0.7500  4 O 1.92-2.02
Li: 0.2156 0.7844 0.2500  4 O 1.92-2.02
Li: 0.2200 0.7932 0.0008  4 O 1.91-2.02
Li: 0.7800 0.2068 0.9992  4 O 1.91-2.02
Li: 0.7844 0.2156 0.7500  4 O 1.92-2.02
Li: 0.7904 0.2096 0.2500  4 O 1.92-2.02
Li: 0.7932 0.2200 0.5008  4 O 1.91-2.02
Cr: 0.2016 0.2037 0.1201  4 O 2.08-2.11
Cr: 0.2037 0.2016 0.6201  4 O 2.08-2.11
Cr: 0.7963 0.7984 0.3799  4 O 2.08-2.11
Cr: 0.7984 0.7963 0.8799  4 O 2.08-2.11
P: 0.1835 0.4116 0.8705  4 O 1.50-1.64
P: 0.1997 0.4161 0.3730  4 O 1.50-1.64
P: 0.4116 0.1835 0.3705  4 O 1.50-1.64
P: 0.4161 0.1997 0.8730  4 O 1.50-1.64
P: 0.5839 0.8003 0.1270  4 O 1.50-1.64
P: 0.5884 0.8165 0.6295  4 O 1.50-1.64
P: 0.8003 0.5839 0.6270  4 O 1.50-1.64
P: 0.8165 0.5884 0.1295  4 O 1.50-1.64
O: 0.0716 0.2905 0.9800  1 P 1.55
O: 0.0798 0.3034 0.7536  1 P 1.55
O: 0.0862 0.3038 0.2594  1 P 1.55
O: 0.0868 0.3080 0.4856  1 P 1.55
O: 0.2267 0.6262 0.8743  1 P 1.50
O: 0.2566 0.6344 0.3746  1 P 1.50
O: 0.2905 0.0716 0.4800  1 P 1.55
O: 0.3034 0.0798 0.2536  1 P 1.55
O: 0.3038 0.0862 0.7594  1 P 1.55
O: 0.3080 0.0868 0.9856  1 P 1.55
O: 0.3656 0.7434 0.1254  1 P 1.50
O: 0.3738 0.7733 0.6257  1 P 1.50
O: 0.4004 0.4096 0.8739  2 P 1.64
O: 0.4096 0.4004 0.3739  2 P 1.64
O: 0.5904 0.5996 0.6261  2 P 1.64
O: 0.5996 0.5904 0.1261  2 P 1.64
O: 0.6262 0.2267 0.3743  1 P 1.50
O: 0.6344 0.2566 0.8746  1 P 1.50
O: 0.6920 0.9132 0.0144  1 P 1.55
O: 0.6962 0.9138 0.2406  1 P 1.55
O: 0.6966 0.9202 0.7464  1 P 1.55
O: 0.7095 0.9284 0.5200  1 P 1.55
O: 0.7434 0.3656 0.6254  1 P 1.50
O: 0.7733 0.3738 0.1257  1 P 1.50
O: 0.9132 0.6920 0.5144  1 P 1.55
O: 0.9138 0.6962 0.7406  1 P 1.55
O: 0.9202 0.6966 0.2464  1 P 1.55
O: 0.9284 0.7095 0.0200  1 P 1.55

Summary:
Calculated total energy ... -6.97 eV per atom

=====

(3)
A plane-wave DFT calculation with GGA+U was carried out for a relaxed Li2MnFeP2O8 crystal.

abc: 6.1181 4.7724 10.5309
angles: 90.00 90.00 90.00
Last column: nearest neighbours and their distance in Å.
Positions (direct):
Li: 0.2489 0.2493 0.0000  6 O 2.11-2.24
Li: 0.2489 0.7507 0.5000  6 O 2.11-2.24
Li: 0.7511 0.2493 0.0000  6 O 2.11-2.24
Li: 0.7511 0.7507 0.5000  6 O 2.11-2.24
Mn: 0.5000 0.2712 0.7183  6 O 2.15-2.29
Mn: 0.5000 0.7288 0.2183  6 O 2.15-2.29
Fe: 0.0000 0.2264 0.2808  6 O 2.11-2.27
Fe: 0.0000 0.7736 0.7808  6 O 2.11-2.27
P: 0.0000 0.3384 0.5929  4 O 1.54-1.57
P: 0.0000 0.6616 0.0929  4 O 1.54-1.57
P: 0.5000 0.1692 0.4060  4 O 1.54-1.57
P: 0.5000 0.8308 0.9060  4 O 1.54-1.57
O: 0.0000 0.0161 0.5977  1 P 1.54
O: 0.0000 0.4584 0.4553  1 P 1.56
O: 0.0000 0.5416 0.9553  1 P 1.56
O: 0.0000 0.9839 0.0977  1 P 1.54
O: 0.2017 0.4742 0.6620  1 P 1.57
O: 0.2017 0.5258 0.1620  1 P 1.57
O: 0.2975 0.0397 0.3350  1 P 1.57
O: 0.2975 0.9603 0.8350  1 P 1.57
O: 0.5000 0.0401 0.5415  1 P 1.55
O: 0.5000 0.4913 0.4050  1 P 1.54
O: 0.5000 0.5087 0.9050  1 P 1.54
O: 0.5000 0.9599 0.0415  1 P 1.55
O: 0.7025 0.0397 0.3350  1 P 1.57
O: 0.7025 0.9603 0.8350  1 P 1.57
O: 0.7983 0.4742 0.6620  1 P 1.57
O: 0.7983 0.5258 0.1620  1 P 1.57

Summary:
Calculated total energy ... -7.02 eV per atom

=====

(4)
A plane-wave DFT calculation with GGA+U was carried out for a relaxed Li3V2Si2O10 crystal.

abc: 8.9963 4.5545 9.2876
angles: 90.00 90.00 90.00
Last column: nearest neighbours and their distance in Å.
Positions (direct):
Li: 0.0000 0.1158 0.0000  5 O 1.96-2.15
Li: 0.0000 0.8842 0.5000  5 O 1.96-2.15
Li: 0.2536 0.4992 0.5023  4 O 2.07-2.16
Li: 0.2536 0.5008 0.0023  4 O 2.07-2.16
Li: 0.7464 0.4992 0.5023  4 O 2.07-2.16
Li: 0.7464 0.5008 0.0023  4 O 2.07-2.16
V: 0.0000 0.4574 0.7142  1 O 1.68
V: 0.0000 0.5426 0.2142  1 O 1.68
V: 0.5000 0.0756 0.5084  1 O 1.63
V: 0.5000 0.9244 0.0084  1 O 1.63
Si: 0.2511 0.9998 0.2567  4 O 1.64-1.65
Si: 0.2511 0.0002 0.7567  4 O 1.64-1.65
Si: 0.7489 0.9998 0.2567  4 O 1.64-1.65
Si: 0.7489 0.0002 0.7567  4 O 1.64-1.65
O: 0.0000 0.3034 0.5497  1 V 1.68
O: 0.0000 0.6966 0.0497  1 V 1.68
O: 0.1459 0.2445 0.8402  1 Si 1.65
O: 0.1459 0.7555 0.3402  1 Si 1.65
O: 0.1504 0.2405 0.1687  1 Si 1.64
O: 0.1504 0.7595 0.6687  1 Si 1.64
O: 0.3516 0.1834 0.3728  1 Si 1.64
O: 0.3516 0.8166 0.8728  1 Si 1.64
O: 0.3533 0.1878 0.6430  1 Si 1.64
O: 0.3533 0.8122 0.1430  1 Si 1.64
O: 0.5000 0.2831 0.0087  1 V 1.63
O: 0.5000 0.7169 0.5087  1 V 1.63
O: 0.6467 0.1878 0.6430  1 Si 1.64
O: 0.6467 0.8122 0.1430  1 Si 1.64
O: 0.6484 0.1834 0.3728  1 Si 1.64
O: 0.6484 0.8166 0.8728  1 Si 1.64
O: 0.8496 0.2405 0.1687  1 Si 1.64
O: 0.8496 0.7595 0.6687  1 Si 1.64
O: 0.8541 0.2445 0.8402  1 Si 1.65
O: 0.8541 0.7555 0.3402  1 Si 1.65

Summary:
Calculated total energy ... -7.05 eV per atom

=====

(5)
A plane-wave DFT calculation with GGA+U was carried out for a relaxed Co2TeCl2O3 crystal.

abc: 5.0598 6.7432 8.5288
angles: 90.00 105.28 90.00
Last column: nearest neighbours and their distance in Å.
Positions (direct):
Co: 0.0000 0.0000 0.0000  4 O 2.07-2.10
Co: 0.0000 0.5000 0.0000  4 O 2.07-2.10
Co: 0.2332 0.2500 0.7751  2 O 2.01
Co: 0.7668 0.7500 0.2249  2 O 2.01
Te: 0.4068 0.7500 0.7541  3 O 1.90-1.96
Te: 0.5932 0.2500 0.2459  3 O 1.90-1.96
Cl: 0.1608 0.2500 0.4970  1 Co 2.30
Cl: 0.2544 0.7500 0.2002  4 Co 2.50-2.55
Cl: 0.7456 0.2500 0.7998  4 Co 2.50-2.55
Cl: 0.8392 0.7500 0.5030  1 Co 2.30
O: 0.2388 0.5378 0.8386  1 Te 1.90, 2 Co 2.01-2.07
O: 0.2388 0.9622 0.8386  1 Te 1.90, 2 Co 2.01-2.07
O: 0.2510 0.2500 0.0724  1 Te 1.96, 2 Co 2.10
O: 0.7490 0.7500 0.9276  1 Te 1.96, 2 Co 2.10
O: 0.7612 0.0378 0.1614  1 Te 1.90, 2 Co 2.01-2.07
O: 0.7612 0.4622 0.1614  1 Te 1.90, 2 Co 2.01-2.07

Summary:
Calculated total energy ... -4.87 eV per atom

=====

(6)
A plane-wave DFT calculation with GGA+U was carried out for a relaxed SrWNO2 crystal.

abc: 4.1156 4.1156 3.9936
angles: 90.00 90.00 90.00
Last column: nearest neighbours and their distance in Å.
Positions (direct):
Sr: 0.0000 0.0000 0.0000  8 O 2.87, 4 N 2.91
W: 0.5000 0.5000 0.5000  2 N 2.00, 4 O 2.06
N: 0.5000 0.5000 0.0000  2 W 2.00
O: 0.0000 0.5000 0.5000  2 W 2.06
O: 0.5000 0.0000 0.5000  2 W 2.06

Summary:
Calculated total energy ... -7.22 eV per atom

=====

(7)
A plane-wave DFT calculation with GGA+U was carried out for a relaxed Li4Mn3V3Te2O16 crystal.

abc: 6.0669 6.0669 10.2238
angles: 90.60 90.60 57.70
Last column: nearest neighbours and their distance in Å.
Positions (direct):
Li: 0.0000 0.0000 0.0000  4 O 1.89-2.05
Li: 0.0003 0.0003 0.4984  4 O 1.93-2.00
Li: 0.3278 0.3278 0.9098  4 O 2.01-2.21
Li: 0.6524 0.6524 0.4144  4 O 1.99-2.06
Mn: 0.1631 0.6578 0.2225  6 O 1.98-2.22
Mn: 0.6578 0.1631 0.2225  6 O 1.98-2.22
Mn: 0.8300 0.8300 0.7240  6 O 2.02-2.16
V: 0.1697 0.1697 0.2399  4 O 1.82-1.97
V: 0.3469 0.8279 0.7286  5 O 1.83-1.99
V: 0.8279 0.3469 0.7286  5 O 1.83-1.99
Te: 0.3388 0.3388 0.5054  3 O 1.99-2.04
Te: 0.6639 0.6639 0.0122  3 O 1.99-2.07
O: 0.0034 0.0034 0.3097  1 V 1.91, 1 Li 1.93, 2 Mn 1.98
O: 0.0107 0.4631 0.3400  1 V 1.82, 1 Li 1.99
O: 0.1402 0.1402 0.6225  1 Li 1.94, 2 V 1.95
O: 0.1679 0.6735 0.6043  1 Te 1.99, 1 Li 2.00, 1 Mn 2.13, 1 V 2.17
O: 0.3168 0.3168 0.1250  1 V 1.97, 2 Mn 2.01
O: 0.3277 0.8337 0.1079  1 Te 1.99, 1 Li 2.00, 1 Mn 2.17, 1 V 2.19
O: 0.4631 0.0107 0.3400  1 V 1.82, 1 Li 1.99
O: 0.4698 0.4698 0.3607  1 Li 2.01, 1 Te 2.04, 2 Mn 2.11
O: 0.4932 0.9699 0.8291  1 V 1.83, 1 Li 2.01
O: 0.5106 0.5106 0.8402  2 V 1.99, 1 Li 2.08
O: 0.6547 0.6547 0.6158  2 V 1.96, 1 Li 2.06, 1 Mn 2.16
O: 0.6735 0.1679 0.6043  1 Te 1.99, 1 Li 2.00, 1 Mn 2.13, 1 V 2.17
O: 0.8337 0.3277 0.1079  1 Te 1.99, 1 Li 2.00, 1 Mn 2.17, 1 V 2.19
O: 0.8372 0.8372 0.1062  2 Mn 2.05, 1 Li 2.05, 1 Te 2.07
O: 0.9699 0.4932 0.8291  1 V 1.83, 1 Li 2.01
O: 0.9995 0.9995 0.8148  1 Li 1.89, 2 V 1.99, 1 Mn 2.02

Summary:
Calculated total energy ... -6.63 eV per atom

=====

(8)
A plane-wave DFT calculation with GGA+U was carried out for a relaxed LaFeTeO6 crystal.

abc: 5.5233 5.5540 9.5644
angles: 90.00 125.25 90.00
Last column: nearest neighbours and their distance in Å.
Positions (direct):
La: 0.0000 0.2155 0.0000  6 O 2.43-2.63
La: 0.0000 0.7845 0.5000  6 O 2.43-2.63
Fe: 0.7575 0.2579 0.2515  6 O 1.99-2.07
Fe: 0.7575 0.7421 0.7515  6 O 1.99-2.07
Te: 0.2577 0.2564 0.7507  6 O 1.93-1.96
Te: 0.2577 0.7436 0.2507  6 O 1.93-1.96
O: 0.0157 0.4675 0.2163  1 Te 1.93, 1 Fe 2.01
O: 0.0157 0.5325 0.7163  1 Te 1.93, 1 Fe 2.01
O: 0.0700 0.2398 0.5058  1 Te 1.94, 1 Fe 2.01
O: 0.0700 0.7602 0.0058  1 Te 1.94, 1 Fe 2.01
O: 0.4341 0.2581 0.9958  1 Te 1.95, 1 Fe 2.03
O: 0.4341 0.7419 0.4958  1 Te 1.95, 1 Fe 2.03
O: 0.5128 0.0145 0.2821  1 Te 1.96, 1 Fe 2.05
O: 0.5128 0.9855 0.7821  1 Te 1.96, 1 Fe 2.05
O: 0.5728 0.4631 0.7877  1 Te 1.94, 1 Fe 1.99
O: 0.5728 0.5369 0.2877  1 Te 1.94, 1 Fe 1.99
O: 0.9618 0.0305 0.7217  1 Te 1.95, 1 Fe 2.07
O: 0.9618 0.9695 0.2217  1 Te 1.95, 1 Fe 2.07

Summary:
Calculated total energy ... -6.62 eV per atom

=====

(9)
A plane-wave DFT calculation with GGA+U was carried out for a relaxed Li3Ni5O8 crystal.

abc: 5.8448 5.8448 15.1784
angles: 106.54 106.54 59.75
Last column: nearest neighbours and their distance in Å.
Positions (direct):
Li: 0.0000 0.0000 0.0000  6 O 2.09-2.17
Li: 0.0000 0.5000 0.0000  6 O 2.09-2.15
Li: 0.1636 0.6695 0.6668  6 O 2.08-2.16
Li: 0.1652 0.1652 0.6664  6 O 2.08-2.18
Li: 0.3305 0.8364 0.3332  6 O 2.08-2.16
Li: 0.5000 0.0000 0.0000  6 O 2.09-2.15
Li: 0.6695 0.1636 0.6668  6 O 2.08-2.16
Li: 0.8348 0.8348 0.3336  6 O 2.08-2.18
Li: 0.8364 0.3305 0.3332  6 O 2.08-2.16
Ni: 0.0841 0.0841 0.8337  6 O 2.06-2.09
Ni: 0.0838 0.5842 0.8337  6 O 1.98-2.07
Ni: 0.2483 0.7517 0.5000  6 O 1.97-2.06
Ni: 0.2498 0.2498 0.5018  6 O 2.03-2.09
Ni: 0.3324 0.3324 0.3333  6 O 2.05-2.06
Ni: 0.4160 0.4160 0.1663  6 O 1.98-2.04
Ni: 0.4158 0.9162 0.1663  6 O 1.98-2.07
Ni: 0.5000 0.5000 0.0000  6 O 2.07-2.08
Ni: 0.5842 0.0838 0.8337  6 O 1.98-2.07
Ni: 0.5840 0.5840 0.8337  6 O 1.98-2.04
Ni: 0.6676 0.6676 0.6667  6 O 2.05-2.06
Ni: 0.7502 0.7502 0.4982  6 O 2.03-2.09
Ni: 0.7517 0.2483 0.5000  6 O 1.97-2.06
Ni: 0.9162 0.4158 0.1663  6 O 1.98-2.07
Ni: 0.9159 0.9159 0.1663  6 O 2.06-2.09
O: 0.0438 0.0438 0.4256  3 Ni 1.97-2.03, 3 Li 2.12-2.14
O: 0.0492 0.5353 0.4184  4 Ni 2.04-2.06, 2 Li 2.09-2.11
O: 0.1272 0.1272 0.2479  4 Ni 2.03-2.09, 2 Li 2.08
O: 0.1281 0.6195 0.2487  4 Ni 2.04-2.07, 2 Li 2.08-2.09
O: 0.2145 0.2145 0.0941  3 Ni 1.98, 3 Li 2.15-2.17
O: 0.2142 0.7073 0.0861  4 Ni 2.03-2.07, 2 Li 2.09-2.11
O: 0.2923 0.2923 0.9140  4 Ni 2.03-2.08, 2 Li 2.09
O: 0.2927 0.7858 0.9139  4 Ni 2.03-2.07, 2 Li 2.09-2.11
O: 0.3801 0.3801 0.7601  3 Ni 1.98-2.00, 3 Li 2.16-2.18
O: 0.3805 0.8719 0.7513  4 Ni 2.04-2.07, 2 Li 2.08-2.09
O: 0.4624 0.4624 0.5800  4 Ni 2.02-2.09, 2 Li 2.13
O: 0.4647 0.9508 0.5816  4 Ni 2.04-2.06, 2 Li 2.09-2.11
O: 0.5353 0.0492 0.4184  4 Ni 2.04-2.06, 2 Li 2.09-2.11
O: 0.5376 0.5376 0.4200  4 Ni 2.02-2.09, 2 Li 2.13
O: 0.6195 0.1281 0.2487  4 Ni 2.04-2.07, 2 Li 2.08-2.09
O: 0.6199 0.6199 0.2399  3 Ni 1.98-2.00, 3 Li 2.16-2.18
O: 0.7073 0.2142 0.0861  4 Ni 2.03-2.07, 2 Li 2.09-2.11
O: 0.7077 0.7077 0.0860  4 Ni 2.03-2.08, 2 Li 2.09
O: 0.7858 0.2927 0.9139  4 Ni 2.03-2.07, 2 Li 2.09-2.11
O: 0.7855 0.7855 0.9059  3 Ni 1.98, 3 Li 2.15-2.17
O: 0.8719 0.3805 0.7513  4 Ni 2.04-2.07, 2 Li 2.08-2.09
O: 0.8728 0.8728 0.7521  4 Ni 2.03-2.09, 2 Li 2.08
O: 0.9508 0.4647 0.5816  4 Ni 2.04-2.06, 2 Li 2.09-2.11
O: 0.9562 0.9562 0.5744  3 Ni 1.97-2.03, 3 Li 2.12-2.14

Summary:
Calculated total energy ... -4.92 eV per atom

=====

(10)
A plane-wave DFT calculation with GGA+U was carried out for a relaxed LiV4P3O12 crystal.

abc: 8.2306 8.2306 10.2435
angles: 90.00 90.00 131.87
Last column: nearest neighbours and their distance in Å.
Positions (direct):
Li: 0.0243 0.9757 0.5000  6 O 2.47-2.76
Li: 0.9757 0.0243 0.0000  6 O 2.47-2.76
V: 0.0480 0.4591 0.5022  5 O 2.09-2.22
V: 0.3664 0.6336 0.1898  6 O 2.11-2.32
V: 0.3695 0.6305 0.8118  5 O 2.09-2.22
V: 0.4591 0.0480 0.0022  5 O 2.09-2.22
V: 0.5409 0.9520 0.5022  5 O 2.09-2.22
V: 0.6305 0.3695 0.3118  5 O 2.09-2.22
V: 0.6336 0.3664 0.6898  6 O 2.11-2.32
V: 0.9520 0.5409 0.0022  5 O 2.09-2.22
P: 0.1848 0.8152 0.2899  4 O 1.52-1.61
P: 0.1850 0.8150 0.7163  4 O 1.52-1.61
P: 0.4778 0.5222 0.5479  4 O 1.56-1.57
P: 0.5222 0.4778 0.0479  4 O 1.56-1.57
P: 0.8150 0.1850 0.2163  4 O 1.52-1.61
P: 0.8152 0.1848 0.7899  4 O 1.52-1.61
O: 0.0519 0.3193 0.1782  1 P 1.52
O: 0.0520 0.3191 0.8282  1 P 1.52
O: 0.2161 0.7839 0.1405  1 P 1.60
O: 0.2160 0.7840 0.8658  1 P 1.60
O: 0.2362 0.3726 0.5014  1 P 1.56
O: 0.2791 0.7209 0.3641  1 P 1.61
O: 0.2789 0.7211 0.6410  1 P 1.61
O: 0.3191 0.0520 0.3282  1 P 1.52
O: 0.3193 0.0519 0.6782  1 P 1.52
O: 0.3726 0.2362 0.0014  1 P 1.56
O: 0.4239 0.5761 0.0000  1 P 1.56
O: 0.4885 0.5115 0.7001  1 P 1.57
O: 0.5115 0.4885 0.2001  1 P 1.57
O: 0.5761 0.4239 0.5000  1 P 1.56
O: 0.6274 0.7638 0.5014  1 P 1.56
O: 0.6807 0.9481 0.1782  1 P 1.52
O: 0.6809 0.9480 0.8282  1 P 1.52
O: 0.7211 0.2789 0.1410  1 P 1.61
O: 0.7209 0.2791 0.8642  1 P 1.61
O: 0.7638 0.6274 0.0014  1 P 1.56
O: 0.7840 0.2160 0.3658  1 P 1.60
O: 0.7839 0.2161 0.6405  1 P 1.60
O: 0.9480 0.6809 0.3282  1 P 1.52
O: 0.9481 0.6807 0.6782  1 P 1.52

Summary:
Calculated total energy ... -7.45 eV per atom

=====

Among the records above, which one has the lowest calculated total energy?
LiV4P3O12